Entry 1:
Below is a relaxed CaPbSe2 crystal, with properties calculated at the r2SCAN level.

Lattice parameters (Å, degrees): 4.292 4.292 6.090 90.00 90.00 90.00
Fractional positions:
Ca 0.000 0.000 0.000
Pb 0.500 0.500 0.500
Se 0.000 0.000 0.500
Se 0.500 0.500 0.000

Entry 2:
Below is a relaxed Na4Hf2Ge3O12 crystal, with properties calculated at the r2SCAN level.

Lattice parameters (Å, degrees): 9.189 9.189 9.189 61.80 61.80 61.80
Fractional positions:
Na 0.000 0.000 0.000
Na 0.130 0.750 0.370
Na 0.250 0.630 0.870
Na 0.370 0.130 0.750
Na 0.500 0.500 0.500
Na 0.630 0.870 0.250
Na 0.750 0.370 0.130
Na 0.870 0.250 0.630
Hf 0.143 0.143 0.143
Hf 0.357 0.357 0.357
Hf 0.643 0.643 0.643
Hf 0.857 0.857 0.857
Ge 0.044 0.456 0.750
Ge 0.250 0.956 0.544
Ge 0.456 0.750 0.044
Ge 0.544 0.250 0.956
Ge 0.750 0.044 0.456
Ge 0.956 0.544 0.250
O 0.010 0.635 0.797
O 0.062 0.259 0.922
O 0.078 0.938 0.741
O 0.135 0.510 0.297
O 0.203 0.990 0.365
O 0.241 0.438 0.578
O 0.259 0.922 0.062
O 0.297 0.135 0.510
O 0.365 0.203 0.990
O 0.422 0.759 0.562
O 0.438 0.578 0.241
O 0.490 0.703 0.865
O 0.510 0.297 0.135
O 0.562 0.422 0.759
O 0.578 0.241 0.438
O 0.635 0.797 0.010
O 0.703 0.865 0.490
O 0.741 0.078 0.938
O 0.759 0.562 0.422
O 0.797 0.010 0.635
O 0.865 0.490 0.703
O 0.922 0.062 0.259
O 0.938 0.741 0.078
O 0.990 0.365 0.203

Entry 3:
Below is a relaxed Rb2PaF7 crystal, with properties calculated at the r2SCAN level.

Lattice parameters (Å, degrees): 7.861 7.861 8.184 120.78 120.78 52.46
Fractional positions:
Rb 0.163 0.181 0.112
Rb 0.181 0.163 0.612
Rb 0.819 0.837 0.388
Rb 0.837 0.819 0.888
Pa 0.475 0.525 0.750
Pa 0.525 0.475 0.250
F 0.157 0.843 0.750
F 0.174 0.605 0.209
F 0.211 0.446 0.513
F 0.298 0.555 0.921
F 0.395 0.826 0.291
F 0.445 0.702 0.579
F 0.446 0.211 0.013
F 0.554 0.789 0.987
F 0.555 0.298 0.421
F 0.605 0.174 0.709
F 0.702 0.445 0.079
F 0.789 0.554 0.487
F 0.826 0.395 0.791
F 0.843 0.157 0.250

Entry 4:
Below is a relaxed NpTe crystal, with properties calculated at the r2SCAN level.

Lattice parameters (Å, degrees): 4.439 4.439 4.439 60.00 60.00 60.00
Fractional positions:
Np 0.000 0.000 0.000
Te 0.500 0.500 0.500

Entry 5:
Below is a relaxed K2MnO4 crystal, with properties calculated at the r2SCAN level.

Lattice parameters (Å, degrees): 7.620 5.816 10.300 90.00 90.00 90.00
Fractional positions:
K 0.013 0.250 0.196
K 0.162 0.750 0.414
K 0.338 0.250 0.914
K 0.487 0.750 0.696
K 0.513 0.250 0.304
K 0.662 0.750 0.086
K 0.838 0.250 0.586
K 0.987 0.750 0.804
Mn 0.229 0.750 0.080
Mn 0.271 0.250 0.580
Mn 0.729 0.750 0.420
Mn 0.771 0.250 0.920
O 0.014 0.750 0.081
O 0.193 0.021 0.654
O 0.193 0.479 0.654
O 0.200 0.250 0.428
O 0.300 0.750 0.928
O 0.307 0.521 0.154
O 0.307 0.979 0.154
O 0.486 0.250 0.581
O 0.514 0.750 0.419
O 0.693 0.021 0.846
O 0.693 0.479 0.846
O 0.700 0.250 0.072
O 0.800 0.750 0.572
O 0.807 0.521 0.346
O 0.807 0.979 0.346
O 0.986 0.250 0.919

Entry 6:
Below is a relaxed ReRh3 crystal, with properties calculated at the r2SCAN level.

Lattice parameters (Å, degrees): 5.451 5.451 4.334 90.00 90.00 120.00
Fractional positions:
Re 0.333 0.667 0.250
Re 0.667 0.333 0.750
Rh 0.169 0.337 0.750
Rh 0.169 0.831 0.750
Rh 0.337 0.169 0.250
Rh 0.663 0.831 0.750
Rh 0.831 0.169 0.250
Rh 0.831 0.663 0.250

Entry 7:
Below is a relaxed YHoAg2 crystal, with properties calculated at the r2SCAN level.

Lattice parameters (Å, degrees): 5.100 5.100 5.100 60.00 60.00 60.00
Fractional positions:
Y 0.000 0.000 0.000
Ho 0.500 0.500 0.500
Ag 0.250 0.250 0.250
Ag 0.750 0.750 0.750

Entry 8:
Below is a relaxed PmSe2 crystal, with properties calculated at the r2SCAN level.

Values from the calculation:
energy above the lowest structure with this stoichiometry: 25 meV/atom

Lattice parameters (Å, degrees): 4.138 4.138 8.507 90.00 90.00 90.00
Fractional positions:
Pm 0.250 0.250 0.226
Pm 0.750 0.750 0.774
Se 0.250 0.250 0.868
Se 0.250 0.750 0.500
Se 0.750 0.250 0.500
Se 0.750 0.750 0.132

Entry 9:
Below is a relaxed La5Bi3Br crystal, with properties calculated at the r2SCAN level.

Lattice parameters (Å, degrees): 9.832 9.832 6.859 90.00 90.00 120.00
Fractional positions:
La 0.000 0.273 0.250
La 0.000 0.727 0.750
La 0.273 0.000 0.250
La 0.273 0.273 0.750
La 0.333 0.667 0.000
La 0.333 0.667 0.500
La 0.667 0.333 0.000
La 0.667 0.333 0.500
La 0.727 0.000 0.750
La 0.727 0.727 0.250
Bi 0.000 0.383 0.750
Bi 0.000 0.617 0.250
Bi 0.383 0.000 0.750
Bi 0.383 0.383 0.250
Bi 0.617 0.000 0.250
Bi 0.617 0.617 0.750
Br 0.000 0.000 0.000
Br 0.000 0.000 0.500

Entry 10:
Below is a relaxed Tm2OsRh crystal, with properties calculated at the r2SCAN level.

Lattice parameters (Å, degrees): 4.731 4.731 4.731 60.00 60.00 60.00
Fractional positions:
Tm 0.250 0.250 0.250
Tm 0.750 0.750 0.750
Os 0.000 0.000 0.000
Rh 0.500 0.500 0.500

Entry 11:
Below is a relaxed Cs2Sb crystal, with properties calculated at the r2SCAN level.

Lattice parameters (Å, degrees): 16.343 6.442 11.282 90.00 90.00 90.00
Fractional positions:
Cs 0.008 0.250 0.167
Cs 0.058 0.750 0.414
Cs 0.209 0.250 0.906
Cs 0.244 0.750 0.739
Cs 0.256 0.250 0.239
Cs 0.291 0.750 0.406
Cs 0.442 0.250 0.914
Cs 0.492 0.750 0.667
Cs 0.508 0.250 0.333
Cs 0.558 0.750 0.086
Cs 0.709 0.250 0.594
Cs 0.744 0.750 0.761
Cs 0.756 0.250 0.261
Cs 0.791 0.750 0.094
Cs 0.942 0.250 0.586
Cs 0.992 0.750 0.833
Sb 0.155 0.750 0.090
Sb 0.167 0.250 0.563
Sb 0.333 0.750 0.063
Sb 0.345 0.250 0.590
Sb 0.655 0.750 0.410
Sb 0.667 0.250 0.937
Sb 0.833 0.750 0.437
Sb 0.845 0.250 0.910

Entry 12:
Below is a relaxed SrLi2Si2N4 crystal, with properties calculated at the r2SCAN level.

Lattice parameters (Å, degrees): 10.704 10.704 10.704 90.00 90.00 90.00
Fractional positions:
Sr 0.000 0.000 0.000
Sr 0.000 0.500 0.500
Sr 0.218 0.718 0.782
Sr 0.218 0.782 0.282
Sr 0.282 0.218 0.782
Sr 0.282 0.282 0.282
Sr 0.500 0.000 0.500
Sr 0.500 0.500 0.000
Sr 0.718 0.718 0.718
Sr 0.718 0.782 0.218
Sr 0.782 0.218 0.718
Sr 0.782 0.282 0.218
Li 0.026 0.108 0.730
Li 0.026 0.392 0.230
Li 0.108 0.730 0.026
Li 0.108 0.770 0.526
Li 0.230 0.026 0.392
Li 0.230 0.474 0.892
Li 0.270 0.526 0.392
Li 0.270 0.974 0.892
Li 0.392 0.230 0.026
Li 0.392 0.270 0.526
Li 0.474 0.608 0.730
Li 0.474 0.892 0.230
Li 0.526 0.108 0.770
Li 0.526 0.392 0.270
Li 0.608 0.730 0.474
Li 0.608 0.770 0.974
Li 0.730 0.026 0.108
Li 0.730 0.474 0.608
Li 0.770 0.526 0.108
Li 0.770 0.974 0.608
Li 0.892 0.230 0.474
Li 0.892 0.270 0.974
Li 0.974 0.608 0.770
Li 0.974 0.892 0.270
Si 0.021 0.130 0.257
Si 0.021 0.370 0.757
Si 0.130 0.243 0.521
Si 0.130 0.257 0.021
Si 0.243 0.521 0.130
Si 0.243 0.979 0.630
Si 0.257 0.021 0.130
Si 0.257 0.479 0.630
Si 0.370 0.743 0.521
Si 0.370 0.757 0.021
Si 0.479 0.630 0.257
Si 0.479 0.870 0.757
Si 0.521 0.130 0.243
Si 0.521 0.370 0.743
Si 0.630 0.243 0.979
Si 0.630 0.257 0.479
Si 0.743 0.521 0.370
Si 0.743 0.979 0.870
Si 0.757 0.021 0.370
Si 0.757 0.479 0.870
Si 0.870 0.743 0.979
Si 0.870 0.757 0.479
Si 0.979 0.630 0.243
Si 0.979 0.870 0.743
N 0.009 0.228 0.125
N 0.009 0.272 0.625
N 0.057 0.232 0.376
N 0.057 0.268 0.876
N 0.124 0.557 0.232
N 0.124 0.943 0.732
N 0.125 0.009 0.228
N 0.125 0.491 0.728
N 0.228 0.125 0.009
N 0.228 0.375 0.509
N 0.232 0.124 0.557
N 0.232 0.376 0.057
N 0.268 0.624 0.557
N 0.268 0.876 0.057
N 0.272 0.625 0.009
N 0.272 0.875 0.509
N 0.375 0.509 0.228
N 0.375 0.991 0.728
N 0.376 0.057 0.232
N 0.376 0.443 0.732
N 0.443 0.732 0.376
N 0.443 0.768 0.876
N 0.491 0.728 0.125
N 0.491 0.772 0.625
N 0.509 0.228 0.375
N 0.509 0.272 0.875
N 0.557 0.232 0.124
N 0.557 0.268 0.624
N 0.624 0.557 0.268
N 0.624 0.943 0.768
N 0.625 0.009 0.272
N 0.625 0.491 0.772
N 0.728 0.125 0.491
N 0.728 0.375 0.991
N 0.732 0.124 0.943
N 0.732 0.376 0.443
N 0.768 0.624 0.943
N 0.768 0.876 0.443
N 0.772 0.625 0.491
N 0.772 0.875 0.991
N 0.875 0.509 0.272
N 0.875 0.991 0.772
N 0.876 0.057 0.268
N 0.876 0.443 0.768
N 0.943 0.732 0.124
N 0.943 0.768 0.624
N 0.991 0.728 0.375
N 0.991 0.772 0.875

Entry 13:
Below is a relaxed P4S7 crystal, with properties calculated at the r2SCAN level.

Lattice parameters (Å, degrees): 6.994 17.828 11.165 90.00 125.17 90.00
Fractional positions:
P 0.007 0.042 0.230
P 0.007 0.458 0.730
P 0.116 0.207 0.148
P 0.116 0.293 0.648
P 0.410 0.168 0.497
P 0.410 0.332 0.997
P 0.419 0.121 0.217
P 0.419 0.379 0.717
P 0.581 0.621 0.283
P 0.581 0.879 0.783
P 0.590 0.668 0.003
P 0.590 0.832 0.503
P 0.884 0.707 0.352
P 0.884 0.793 0.852
P 0.993 0.542 0.270
P 0.993 0.958 0.770
S 0.163 0.634 0.409
S 0.163 0.866 0.909
S 0.178 0.078 0.450
S 0.178 0.422 0.950
S 0.197 0.039 0.803
S 0.197 0.461 0.303
S 0.222 0.245 0.850
S 0.222 0.255 0.350
S 0.261 0.016 0.193
S 0.261 0.484 0.693
S 0.357 0.638 0.054
S 0.357 0.862 0.554
S 0.434 0.694 0.800
S 0.434 0.806 0.300
S 0.566 0.194 0.700
S 0.566 0.306 0.200
S 0.643 0.138 0.446
S 0.643 0.362 0.946
S 0.739 0.516 0.307
S 0.739 0.984 0.807
S 0.778 0.745 0.650
S 0.778 0.755 0.150
S 0.803 0.539 0.697
S 0.803 0.961 0.197
S 0.822 0.578 0.050
S 0.822 0.922 0.550
S 0.837 0.134 0.091
S 0.837 0.366 0.591

Entry 14:
Below is a relaxed LiYbGe2 crystal, with properties calculated at the r2SCAN level.

Lattice parameters (Å, degrees): 7.781 3.782 10.183 90.00 90.00 90.00
Fractional positions:
Li 0.020 0.250 0.103
Li 0.480 0.750 0.603
Li 0.520 0.250 0.397
Li 0.980 0.750 0.897
Yb 0.133 0.750 0.361
Yb 0.367 0.250 0.861
Yb 0.633 0.750 0.139
Yb 0.867 0.250 0.639
Ge 0.149 0.750 0.691
Ge 0.238 0.750 0.059
Ge 0.262 0.250 0.559
Ge 0.351 0.250 0.191
Ge 0.649 0.750 0.809
Ge 0.738 0.750 0.441
Ge 0.762 0.250 0.941
Ge 0.851 0.250 0.309

What magnetic moment values result from the calculations? In sequence: 0.000 0.000 0.000 4.588 1.000 0.000 0.000 0.000 0.631 0.000 0.000 0.000 0.000 0.000 μB per formula unit.
What formation energy from the elements values result from the calculations? In sequence: -1.48 -2.51 -3.75 -1.12 -1.83 -0.09 -0.34 -1.86 -1.27 -0.66 -0.56 -1.27 -0.22 -0.64 eV per atom.